No. 1
Ca2YAsW2O12 after structural relaxation, computed with PBE with a Hubbard U.

a b c (Å): 5.2089 5.2089 34.5778
angles (deg): 90.00 90.00 90.00
Closest atoms and distances in Å follow each position.
Space group I4_1/a (No. 88, origin choice 2)
One atom of each set of equivalent atoms:
Ca  0.0000  0.2500  0.2887 (multiplicity 8)  6 O 2.35-2.48
Y  0.0000  0.2500  0.6250 (multiplicity 4)  8 O 2.34-2.41
As  0.0000  0.2500  0.1250 (multiplicity 4)  4 O 1.74
W  0.0000  0.2500  0.4497 (multiplicity 8)  4 O 1.82-1.87
O  0.1329  0.4909  0.7680 (multiplicity 16)  1 W 1.82
O  0.1674  0.0361  0.5713 (multiplicity 16)  1 W 1.87
O  0.1931  0.0460  0.1521 (multiplicity 16)  1 As 1.74

Computed properties:
Raw total energy in eV/atom: -7.398
E_form in eV/atom: -2.770
V in Å³ per cell: 938

=====

No. 2
CdCoAsHO5 after structural relaxation, computed with PBE with a Hubbard U.

a b c (Å): 7.6610 6.2307 8.8225
angles (deg): 90.00 90.00 90.00
Closest atoms and distances in Å follow each position.
Space group Pnma (No. 62)
One atom of each set of equivalent atoms:
Cd  0.1309  0.2500  0.1733 (multiplicity 4)  2 O 2.18-2.25
Co  0.0000  0.0000  0.5000 (multiplicity 4)  6 O 2.01-2.17
As  0.1293  0.2500  0.8267 (multiplicity 4)  4 O 1.73-1.75
H  0.2405  0.7500  0.9601 (multiplicity 4)  1 O 0.99
O  0.0334  0.7500  0.0381 (multiplicity 4)  1 As 1.73, 1 H 1.73
O  0.1207  0.0178  0.7185 (multiplicity 8)  1 As 1.73
O  0.1383  0.2500  0.4199 (multiplicity 4)  1 H 0.99
O  0.1851  0.7500  0.4429 (multiplicity 4)  1 As 1.75

Computed properties:
Raw total energy in eV/atom: -5.449
E_form in eV/atom: -1.477
V in Å³ per cell: 421

=====

No. 3
Ce8Fe8As8O7F after structural relaxation, computed with PBE with a Hubbard U.

a b c (Å): 7.9522 7.9522 17.8810
angles (deg): 90.00 90.00 90.00
Closest atoms and distances in Å follow each position.
Space group I-4m2 (No. 119)
One atom of each set of equivalent atoms:
Ce  0.0000  0.2394  0.3241 (multiplicity 8)  3 O 2.30-2.37, 1 F 2.46
Ce  0.0000  0.2500  0.8195 (multiplicity 8)  4 O 2.34-2.36
Fe  0.0000  0.0000  0.0000 (multiplicity 2)  4 As 2.62, 4 Fe 2.77
Fe  0.0000  0.0000  0.5000 (multiplicity 2)  4 As 2.59, 4 Fe 2.85
Fe  0.0000  0.5000  0.0005 (multiplicity 4)  4 As 2.59-2.60, 4 Fe 2.81
Fe  0.2465  0.2465  0.0000 (multiplicity 8)  4 As 2.59-2.61, 4 Fe 2.77-2.85
As  0.0000  0.2504  0.5929 (multiplicity 8)  4 Fe 2.59-2.61
As  0.0000  0.2509  0.0949 (multiplicity 8)  4 Fe 2.59-2.62
O  0.0000  0.0000  0.2514 (multiplicity 4)  4 Ce 2.30-2.36
O  0.0000  0.5000  0.7500 (multiplicity 2)  4 Ce 2.34
O  0.2470  0.2530  0.2500 (multiplicity 8)  4 Ce 2.36-2.37
F  0.0000  0.5000  0.2500 (multiplicity 2)  4 Ce 2.46

Computed properties:
Raw total energy in eV/atom: -6.788
E_form in eV/atom: -1.609
V in Å³ per cell: 1131

=====

No. 4
Ce2FeAs2O after structural relaxation, computed with PBE with a Hubbard U.

a b c (Å): 3.1143 3.1143 14.8979
angles (deg): 90.00 90.00 90.00
Closest atoms and distances in Å follow each position.
Space group P4/mmm (No. 123)
One atom of each set of equivalent atoms:
Ce  0.0000  0.0000  0.1383 (multiplicity 2)  1 O 2.06
Fe  0.0000  0.0000  0.5000 (multiplicity 1)  2 As 2.45
As  0.0000  0.0000  0.3358 (multiplicity 2)  1 Fe 2.45
O  0.0000  0.0000  0.0000 (multiplicity 1)  2 Ce 2.06

Computed properties:
Raw total energy in eV/atom: -5.582
E_form in eV/atom: -0.306
V in Å³ per cell: 144

=====

No. 5
CeMnAsO after structural relaxation, computed with PBE with a Hubbard U.

a b c (Å): 4.0525 4.0525 8.9455
angles (deg): 90.00 90.00 90.00
Closest atoms and distances in Å follow each position.
Space group P4/nmm (No. 129, origin choice 2)
One atom of each set of equivalent atoms:
Ce  0.2500  0.2500  0.1356 (multiplicity 2)  4 O 2.36
Mn  0.2500  0.7500  0.5000 (multiplicity 2)  4 As 2.66, 4 Mn 2.87
As  0.2500  0.2500  0.6926 (multiplicity 2)  4 Mn 2.66
O  0.2500  0.7500  0.0000 (multiplicity 2)  4 Ce 2.36

Computed properties:
Raw total energy in eV/atom: -7.480
E_form in eV/atom: -1.893
V in Å³ per cell: 147

=====

No. 6
Co2AsClO4 after structural relaxation, computed with PBE with a Hubbard U.

a b c (Å): 4.9946 6.7126 6.9596
angles (deg): 90.00 91.49 90.00
Closest atoms and distances in Å follow each position.
Space group P2_1/m (No. 11)
One atom of each set of equivalent atoms:
Co  0.0000  0.0000  0.0000 (multiplicity 2)  4 O 2.07-2.12
Co  0.3497  0.2500  0.2691 (multiplicity 2)  3 O 1.94-2.04
As  0.4899  0.2500  0.7601 (multiplicity 2)  4 O 1.68-1.77
Cl  0.1657  0.7500  0.7675 (multiplicity 2)  4 Co 2.44-2.58
O  0.2401  0.2500  0.9355 (multiplicity 2)  1 As 1.77
O  0.3055  0.5439  0.2014 (multiplicity 4)  1 As 1.74
O  0.3235  0.2500  0.5468 (multiplicity 2)  1 As 1.68

Computed properties:
Raw total energy in eV/atom: -5.736
E_form in eV/atom: -1.424
V in Å³ per cell: 233

=====

No. 7
Co7CuAs4H4O20 after structural relaxation, computed with PBE with a Hubbard U.

a b c (Å): 8.4515 6.1517 8.5727
angles (deg): 90.00 90.10 90.00
Closest atoms and distances in Å follow each position.
Space group Pm (No. 6)
One atom of each set of equivalent atoms:
Co  0.0000  0.0000  0.0000 (multiplicity 1)  5 O 2.02-2.09
Co  0.1353  0.2460  0.6265 (multiplicity 2)  6 O 2.08-2.29
Co  0.2720  0.0000  0.2565 (multiplicity 1)  5 O 2.01-2.09
Co  0.5013  0.5000  0.7565 (multiplicity 1)  5 O 2.02-2.11
Co  0.6367  0.2525  0.1289 (multiplicity 2)  6 O 2.08-2.26
Cu  0.7673  0.5000  0.4926 (multiplicity 1)  5 O 1.98-2.08
As  0.3852  0.0000  0.8824 (multiplicity 1)  4 O 1.72-1.73
As  0.3872  0.5000  0.3823 (multiplicity 1)  4 O 1.72-1.73
As  0.8846  0.5000  0.8705 (multiplicity 1)  4 O 1.72-1.74
As  0.8901  0.0000  0.3768 (multiplicity 1)  4 O 1.73-1.74
H  0.3531  0.0000  0.5379 (multiplicity 1)  1 O 0.97
H  0.4226  0.5000  0.0374 (multiplicity 1)  1 O 0.98
H  0.8533  0.5000  0.2237 (multiplicity 1)  1 O 0.98
H  0.9215  0.0000  0.7182 (multiplicity 1)  1 O 0.97
O  0.0296  0.0000  0.7581 (multiplicity 1)  1 H 0.97
O  0.0348  0.0000  0.2344 (multiplicity 1)  1 As 1.73
O  0.0633  0.5000  0.7737 (multiplicity 1)  1 As 1.72
O  0.2105  0.5000  0.4824 (multiplicity 1)  1 As 1.72
O  0.2382  0.0000  0.0214 (multiplicity 1)  1 As 1.72
O  0.2447  0.0000  0.4993 (multiplicity 1)  1 H 0.97
O  0.3662  0.2264  0.7648 (multiplicity 2)  1 As 1.73
O  0.4086  0.2742  0.2636 (multiplicity 2)  1 As 1.73
O  0.5318  0.5000  0.0005 (multiplicity 1)  1 H 0.98
O  0.5325  0.5000  0.5233 (multiplicity 1)  1 As 1.72
O  0.5628  0.0000  0.9835 (multiplicity 1)  1 As 1.73
O  0.7127  0.0000  0.2740 (multiplicity 1)  1 As 1.74
O  0.7388  0.5000  0.7275 (multiplicity 1)  1 As 1.74
O  0.7443  0.5000  0.2628 (multiplicity 1)  1 H 0.98
O  0.8636  0.2758  0.9914 (multiplicity 2)  1 As 1.73
O  0.9132  0.2274  0.4930 (multiplicity 2)  1 As 1.73

Computed properties:
Raw total energy in eV/atom: -5.909
E_form in eV/atom: -1.470
V in Å³ per cell: 446

=====

No. 8
KCo3CuAs3O12 after structural relaxation, computed with PBE with a Hubbard U.

a b c (Å): 12.4028 12.9212 6.9226
angles (deg): 90.00 113.53 90.00
Closest atoms and distances in Å follow each position.
Space group C2/c (No. 15)
One atom of each set of equivalent atoms:
K  0.0000  0.0137  0.2500 (multiplicity 4)  6 O 2.67-2.94
Co  0.0000  0.2589  0.7500 (multiplicity 4)  6 O 2.10-2.21
Co  0.2183  0.1579  0.6293 (multiplicity 8)  6 O 2.03-2.18
Cu  0.0000  0.4979  0.2500 (multiplicity 4)  4 O 1.95-1.97
As  0.0000  0.2854  0.2500 (multiplicity 4)  4 O 1.73-1.75
As  0.2375  0.1152  0.1274 (multiplicity 8)  4 O 1.71-1.75
O  0.0380  0.2117  0.4767 (multiplicity 8)  1 As 1.73
O  0.1037  0.3802  0.2619 (multiplicity 8)  1 As 1.75
O  0.1119  0.3880  0.8141 (multiplicity 8)  1 As 1.75, 1 Cu 1.95
O  0.1606  0.1698  0.8814 (multiplicity 8)  1 As 1.74
O  0.1796  0.0048  0.6261 (multiplicity 8)  1 As 1.71
O  0.2180  0.1891  0.3195 (multiplicity 8)  1 As 1.73

Computed properties:
Raw total energy in eV/atom: -5.752
E_form in eV/atom: -1.415
V in Å³ per cell: 1017

=====

No. 9
CoAs4F18 after structural relaxation, computed with PBE with a Hubbard U.

a b c (Å): 7.4235 13.1410 10.3458
angles (deg): 90.00 134.00 90.00
Closest atoms and distances in Å follow each position.
Space group P2_1/c (No. 14)
One atom of each set of equivalent atoms:
Co  0.0000  0.0000  0.0000 (multiplicity 2)  6 F 2.05-2.08
As  0.0785  0.2186  0.5612 (multiplicity 4)  3 F 1.75-1.86
As  0.5000  0.0000  0.0000 (multiplicity 2)  6 F 1.74-1.83
As  0.5000  0.0000  0.5000 (multiplicity 2)  6 F 1.75-1.84
F  0.0118  0.1539  0.9584 (multiplicity 4)  1 As 1.86
F  0.0175  0.7445  0.3320 (multiplicity 4)  1 As 1.75
F  0.2103  0.0280  0.2665 (multiplicity 4)  1 As 1.84, 1 Co 2.05
F  0.2311  0.0505  0.7905 (multiplicity 4)  1 As 1.76
F  0.3169  0.5324  0.5528 (multiplicity 4)  1 As 1.83
F  0.3210  0.5452  0.0408 (multiplicity 4)  1 As 1.75
F  0.3955  0.2468  0.7424 (multiplicity 4)  1 As 1.75
F  0.4323  0.6190  0.4006 (multiplicity 4)  1 As 1.74
F  0.4895  0.1223  0.5611 (multiplicity 4)  1 As 1.75

Computed properties:
Raw total energy in eV/atom: -4.621
E_form in eV/atom: -2.436
V in Å³ per cell: 726

=====

No. 10
KCoAs3F18 after structural relaxation, computed with PBE with a Hubbard U.

a b c (Å): 10.6397 14.2302 9.6824
angles (deg): 90.00 90.00 90.00
Closest atoms and distances in Å follow each position.
Space group Pnma (No. 62)
One atom of each set of equivalent atoms:
K  0.0773  0.2500  0.0201 (multiplicity 4)  6 F 2.68-2.87
Co  0.0000  0.0000  0.5000 (multiplicity 4)  6 F 2.05-2.06
As  0.0232  0.7500  0.3886 (multiplicity 4)  6 F 1.74-1.83
As  0.2038  0.5516  0.8055 (multiplicity 8)  6 F 1.74-1.84
F  0.0249  0.6215  0.3887 (multiplicity 8)  1 As 1.83
F  0.0272  0.2500  0.4402 (multiplicity 4)  1 As 1.74
F  0.0763  0.7500  0.2164 (multiplicity 4)  1 As 1.76
F  0.0790  0.5577  0.6748 (multiplicity 8)  1 As 1.84
F  0.1225  0.0373  0.8933 (multiplicity 8)  1 As 1.75
F  0.1225  0.6364  0.9023 (multiplicity 8)  1 As 1.76
F  0.1310  0.2500  0.6723 (multiplicity 4)  1 As 1.74
F  0.1722  0.0496  0.4360 (multiplicity 8)  1 As 1.83
F  0.1811  0.7500  0.4436 (multiplicity 4)  1 As 1.76
F  0.2164  0.1423  0.2188 (multiplicity 8)  1 As 1.76
F  0.2160  0.5321  0.2079 (multiplicity 8)  1 As 1.74

Computed properties:
Raw total energy in eV/atom: -4.516
E_form in eV/atom: -2.486
V in Å³ per cell: 1466

=====

No. 11
Nd4FeCo3As4O4 after structural relaxation, computed with PBE with a Hubbard U.

a b c (Å): 3.9942 7.9853 9.0096
angles (deg): 90.00 90.00 90.00
Closest atoms and distances in Å follow each position.
Space group Pmm2 (No. 25)
One atom of each set of equivalent atoms:
Nd  0.0000  0.0000  0.0000 (multiplicity 1)  4 O 2.33-2.36
Nd  0.0000  0.5000  0.0037 (multiplicity 1)  4 O 2.33-2.34
Nd  0.5000  0.2522  0.7341 (multiplicity 2)  4 O 2.32-2.33
Fe  0.5000  0.5000  0.3643 (multiplicity 1)  4 As 2.54-2.56, 4 Co 2.80
Co  0.0000  0.2551  0.3673 (multiplicity 2)  4 As 2.45-2.51
Co  0.5000  0.0000  0.3699 (multiplicity 1)  4 As 2.40-2.46
As  0.0000  0.0000  0.5181 (multiplicity 1)  4 Co 2.40-2.45
As  0.0000  0.5000  0.5422 (multiplicity 1)  2 Co 2.51, 2 Fe 2.56
As  0.5000  0.2414  0.1994 (multiplicity 2)  3 Co 2.46-2.51, 1 Fe 2.54
O  0.0000  0.2504  0.8676 (multiplicity 2)  4 Nd 2.33-2.34
O  0.5000  0.0000  0.8610 (multiplicity 1)  4 Nd 2.32-2.36
O  0.5000  0.5000  0.8700 (multiplicity 1)  4 Nd 2.33

Computed properties:
Raw total energy in eV/atom: -6.481
E_form in eV/atom: -1.645
V in Å³ per cell: 287

=====

Q: Among the records above, which one has the highest V?
A: KCoAs3F18

=====

Q: Look up the raw total energy of the eleventh one.
A: -6.481 eV/atom